# 1
A plane-wave DFT calculation with r²SCAN was carried out for a relaxed structure of TiCo2O4.

Cell and atoms, written as CIF:
```
data_TiCo2O4
_chemical_formula_sum 'Ti2 Co4 O8'
_cell_length_a 5.960
_cell_length_b 5.960
_cell_length_c 5.963
_cell_angle_alpha 122.15
_cell_angle_beta 120.92
_cell_angle_gamma 87.34
_symmetry_space_group_name_H-M 'P 1'
_symmetry_Int_Tables_number 1
loop_
_symmetry_equiv_pos_as_xyz
'x,y,z'
loop_
_atom_site_label
_atom_site_fract_x
_atom_site_fract_y
_atom_site_fract_z
Ti1 0.500 0.500 0.000
Ti2 0.000 0.500 0.500
Co1 0.609 0.859 0.750
Co2 0.391 0.141 0.250
Co3 0.000 0.000 0.500
Co4 0.000 0.500 0.000
O1 0.259 0.281 0.524
O2 0.246 0.268 0.976
O3 0.257 0.735 0.976
O4 0.792 0.270 0.524
O5 0.208 0.730 0.476
O6 0.754 0.732 0.024
O7 0.743 0.265 0.024
O8 0.741 0.719 0.476
```

Summary:
space-group type	C2/c (15)
energy relative to the elements	-2.0306	eV/atom



# 2
A plane-wave DFT calculation with r²SCAN was carried out for a relaxed structure of Yb2AgPt.

Cell and atoms, written as CIF:
```
data_Yb2AgPt
_chemical_formula_sum 'Yb2 Ag1 Pt1'
_cell_length_a 4.897
_cell_length_b 4.897
_cell_length_c 4.897
_cell_angle_alpha 60.00
_cell_angle_beta 60.00
_cell_angle_gamma 60.00
_symmetry_space_group_name_H-M 'P 1'
_symmetry_Int_Tables_number 1
loop_
_symmetry_equiv_pos_as_xyz
'x,y,z'
loop_
_atom_site_label
_atom_site_fract_x
_atom_site_fract_y
_atom_site_fract_z
Yb1 0.250 0.250 0.250
Yb2 0.750 0.750 0.750
Ag1 0.500 0.500 0.500
Pt1 0.000 0.000 0.000
```

Summary:
space-group type	Fm-3m (225)
energy relative to the elements	-0.9155	eV/atom



# 3
A plane-wave DFT calculation with r²SCAN was carried out for a relaxed structure of Cs2TlAgBr6.

Cell and atoms, written as CIF:
```
data_Cs2TlAgBr6
_chemical_formula_sum 'Cs2 Tl1 Ag1 Br6'
_cell_length_a 7.883
_cell_length_b 7.883
_cell_length_c 7.883
_cell_angle_alpha 60.00
_cell_angle_beta 60.00
_cell_angle_gamma 60.00
_symmetry_space_group_name_H-M 'P 1'
_symmetry_Int_Tables_number 1
loop_
_symmetry_equiv_pos_as_xyz
'x,y,z'
loop_
_atom_site_label
_atom_site_fract_x
_atom_site_fract_y
_atom_site_fract_z
Cs1 0.750 0.750 0.750
Cs2 0.250 0.250 0.250
Tl1 0.000 0.000 0.000
Ag1 0.500 0.500 0.500
Br1 0.749 0.251 0.251
Br2 0.251 0.251 0.749
Br3 0.251 0.749 0.749
Br4 0.251 0.749 0.251
Br5 0.749 0.251 0.749
Br6 0.749 0.749 0.251
```

Summary:
space-group type	Fm-3m (225)
energy relative to the elements	-1.2144	eV/atom



# 4
A plane-wave DFT calculation with r²SCAN was carried out for a relaxed structure of Na5Sn2.

Cell and atoms, written as CIF:
```
data_Na5Sn2
_chemical_formula_sum 'Na5 Sn2'
_cell_length_a 8.042
_cell_length_b 8.042
_cell_length_c 8.042
_cell_angle_alpha 39.26
_cell_angle_beta 39.26
_cell_angle_gamma 39.26
_symmetry_space_group_name_H-M 'P 1'
_symmetry_Int_Tables_number 1
loop_
_symmetry_equiv_pos_as_xyz
'x,y,z'
loop_
_atom_site_label
_atom_site_fract_x
_atom_site_fract_y
_atom_site_fract_z
Na1 0.500 0.500 0.500
Na2 0.645 0.645 0.645
Na3 0.355 0.355 0.355
Na4 0.787 0.787 0.787
Na5 0.213 0.213 0.213
Sn1 0.933 0.933 0.933
Sn2 0.067 0.067 0.067
```

Summary:
space-group type	R-3m (166)
energy relative to the elements	-0.2407	eV/atom



# 5
A plane-wave DFT calculation with r²SCAN was carried out for a relaxed structure of K3GaF6.

Cell and atoms, written as CIF:
```
data_K3GaF6
_chemical_formula_sum 'K3 Ga1 F6'
_cell_length_a 6.150
_cell_length_b 6.150
_cell_length_c 6.150
_cell_angle_alpha 60.00
_cell_angle_beta 60.00
_cell_angle_gamma 60.00
_symmetry_space_group_name_H-M 'P 1'
_symmetry_Int_Tables_number 1
loop_
_symmetry_equiv_pos_as_xyz
'x,y,z'
loop_
_atom_site_label
_atom_site_fract_x
_atom_site_fract_y
_atom_site_fract_z
K1 0.250 0.250 0.250
K2 0.750 0.750 0.750
K3 0.500 0.500 0.500
Ga1 0.000 0.000 0.000
F1 0.782 0.218 0.218
F2 0.218 0.782 0.782
F3 0.218 0.782 0.218
F4 0.782 0.218 0.782
F5 0.218 0.218 0.782
F6 0.782 0.782 0.218
```

Summary:
space-group type	Fm-3m (225)
energy relative to the elements	-3.0113	eV/atom



# 6
A plane-wave DFT calculation with r²SCAN was carried out for a relaxed structure of Er3SbO7.

Cell and atoms, written as CIF:
```
data_Er3SbO7
_chemical_formula_sum 'Er6 Sb2 O14'
_cell_length_a 6.363
_cell_length_b 6.363
_cell_length_c 7.379
_cell_angle_alpha 90.00
_cell_angle_beta 90.00
_cell_angle_gamma 109.33
_symmetry_space_group_name_H-M 'P 1'
_symmetry_Int_Tables_number 1
loop_
_symmetry_equiv_pos_as_xyz
'x,y,z'
loop_
_atom_site_label
_atom_site_fract_x
_atom_site_fract_y
_atom_site_fract_z
Er1 0.999 0.468 0.748
Er2 0.001 0.532 0.248
Er3 0.532 0.001 0.752
Er4 0.468 0.999 0.252
Er5 0.508 0.508 0.500
Er6 0.492 0.492 0.000
Sb1 0.000 0.000 0.500
Sb2 0.000 0.000 0.000
O1 0.638 0.362 0.750
O2 0.362 0.638 0.250
O3 0.929 0.071 0.750
O4 0.071 0.929 0.250
O5 0.924 0.675 0.529
O6 0.076 0.325 0.029
O7 0.325 0.076 0.971
O8 0.675 0.924 0.471
O9 0.370 0.630 0.750
O10 0.630 0.370 0.250
O11 0.931 0.679 0.967
O12 0.069 0.321 0.467
O13 0.321 0.069 0.533
O14 0.679 0.931 0.033
```

Summary:
space-group type	C222_1 (20)
energy relative to the elements	-3.3215	eV/atom



# 7
A plane-wave DFT calculation with r²SCAN was carried out for a relaxed structure of Er2S2O.

Cell and atoms, written as CIF:
```
data_Er2S2O
_chemical_formula_sum 'Er8 S8 O4'
_cell_length_a 6.797
_cell_length_b 6.788
_cell_length_c 8.183
_cell_angle_alpha 80.45
_cell_angle_beta 90.00
_cell_angle_gamma 90.00
_symmetry_space_group_name_H-M 'P 1'
_symmetry_Int_Tables_number 1
loop_
_symmetry_equiv_pos_as_xyz
'x,y,z'
loop_
_atom_site_label
_atom_site_fract_x
_atom_site_fract_y
_atom_site_fract_z
Er1 0.053 0.250 0.861
Er2 0.553 0.250 0.139
Er3 0.947 0.750 0.139
Er4 0.447 0.750 0.861
Er5 0.145 0.324 0.425
Er6 0.645 0.176 0.575
Er7 0.855 0.676 0.575
Er8 0.355 0.824 0.425
S1 0.777 0.531 0.924
S2 0.277 0.969 0.076
S3 0.223 0.469 0.076
S4 0.723 0.031 0.924
S5 0.868 0.079 0.319
S6 0.368 0.421 0.681
S7 0.132 0.921 0.681
S8 0.632 0.579 0.319
O1 0.587 0.850 0.616
O2 0.087 0.650 0.384
O3 0.413 0.150 0.384
O4 0.913 0.350 0.616
```

Summary:
space-group type	P2_1/c (14)
energy relative to the elements	-2.9609	eV/atom



# 8
A plane-wave DFT calculation with r²SCAN was carried out for a relaxed structure of Y3Si3Pd2.

Cell and atoms, written as CIF:
```
data_Y3Si3Pd2
_chemical_formula_sum 'Y6 Si6 Pd4'
_cell_length_a 5.626
_cell_length_b 5.626
_cell_length_c 14.187
_cell_angle_alpha 90.01
_cell_angle_beta 89.99
_cell_angle_gamma 135.61
_symmetry_space_group_name_H-M 'P 1'
_symmetry_Int_Tables_number 1
loop_
_symmetry_equiv_pos_as_xyz
'x,y,z'
loop_
_atom_site_label
_atom_site_fract_x
_atom_site_fract_y
_atom_site_fract_z
Y1 0.409 0.591 0.390
Y2 0.591 0.409 0.610
Y3 0.868 0.132 0.750
Y4 0.132 0.868 0.250
Y5 0.409 0.591 0.110
Y6 0.591 0.409 0.890
Si1 0.836 0.164 0.250
Si2 0.164 0.836 0.750
Si3 0.895 0.105 0.539
Si4 0.105 0.895 0.461
Si5 0.105 0.895 0.039
Si6 0.895 0.105 0.961
Pd1 0.299 0.701 0.596
Pd2 0.701 0.299 0.404
Pd3 0.701 0.299 0.096
Pd4 0.299 0.701 0.904
```

Summary:
space-group type	Cmcm (63)
energy relative to the elements	-1.0124	eV/atom